Entry 1:
USb3: relaxed, r2SCAN.

Lattice parameters (Å, degrees): 6.491 6.491 5.877 90.00 90.00 120.00
Fractional coordinates of all 8 atoms:
U: 0.333 0.667 0.250
U: 0.667 0.333 0.750
Sb: 0.175 0.350 0.750
Sb: 0.175 0.825 0.750
Sb: 0.350 0.175 0.250
Sb: 0.650 0.825 0.750
Sb: 0.825 0.175 0.250
Sb: 0.825 0.650 0.250



Entry 2:
MgCl2: relaxed, r2SCAN.

Lattice parameters (Å, degrees): 3.644 3.644 5.957 90.00 90.00 120.00
Fractional coordinates of all 3 atoms:
Mg: 0.000 0.000 0.000
Cl: 0.333 0.667 0.229
Cl: 0.667 0.333 0.771



Entry 3:
HoNiGe: relaxed, r2SCAN.

Lattice parameters (Å, degrees): 6.859 4.190 7.211 90.00 90.00 90.00
Fractional coordinates of all 12 atoms:
Ho: 0.008 0.250 0.208
Ho: 0.492 0.750 0.708
Ho: 0.508 0.250 0.292
Ho: 0.992 0.750 0.792
Ni: 0.191 0.750 0.419
Ni: 0.309 0.250 0.919
Ni: 0.691 0.750 0.081
Ni: 0.809 0.250 0.581
Ge: 0.198 0.250 0.589
Ge: 0.302 0.750 0.089
Ge: 0.698 0.250 0.911
Ge: 0.802 0.750 0.411



Entry 4:
NaTlPd2: relaxed, r2SCAN.

Lattice parameters (Å, degrees): 4.652 4.652 4.652 60.00 60.00 60.00
Fractional coordinates of all 4 atoms:
Na: 0.000 0.000 0.000
Tl: 0.500 0.500 0.500
Pd: 0.250 0.250 0.250
Pd: 0.750 0.750 0.750



Entry 5:
Dy5In3: relaxed, r2SCAN.

Lattice parameters (Å, degrees): 9.120 9.120 6.044 109.32 109.32 83.73
Fractional coordinates of all 16 atoms:
Dy: 0.000 0.000 0.250
Dy: 0.000 0.000 0.750
Dy: 0.199 0.364 0.282
Dy: 0.199 0.635 0.917
Dy: 0.364 0.199 0.782
Dy: 0.365 0.801 0.583
Dy: 0.635 0.199 0.417
Dy: 0.636 0.801 0.218
Dy: 0.801 0.365 0.083
Dy: 0.801 0.636 0.718
In: 0.000 0.322 0.660
In: 0.000 0.678 0.340
In: 0.322 0.000 0.160
In: 0.500 0.500 0.250
In: 0.500 0.500 0.750
In: 0.678 0.000 0.840



Entry 6:
NbSb2: relaxed, r2SCAN.

Lattice parameters (Å, degrees): 5.468 5.468 8.409 118.15 118.15 39.36
Fractional coordinates of all 6 atoms:
Nb: 0.152 0.152 0.191
Nb: 0.848 0.848 0.809
Sb: 0.149 0.149 0.536
Sb: 0.405 0.405 0.110
Sb: 0.595 0.595 0.890
Sb: 0.851 0.851 0.464



no.,E (eV per atom),formation enthalpy at 0 K (eV per atom)
1,-39.520,-0.2544
2,-7.568,-2.0770
3,-20.429,-0.8509
4,-25.877,-0.2105
5,-28.991,-0.5359
6,-25.697,-0.3150